1.
# AlPO4 PBE-GGA optimized geometry
# ΔE_f: -3.108 eV per atom
# Uncorrected energy: -7.4755 eV per atom
data_AlPO4
_cell_length_a 11.0212
_cell_length_b 4.9472
_cell_length_c 8.8891
_cell_angle_alpha 90.00
_cell_angle_beta 90.17
_cell_angle_gamma 90.00
_space_group_name_H-M_alt 'P 1 2/c 1'
_space_group_IT_number 13
loop_
_space_group_symop_operation_xyz
'x,y,z'
'-x,-y,-z'
'-x,y,-z+1/2'
'x,-y,z+1/2'
loop_
_atom_site_label
_atom_site_fract_x
_atom_site_fract_y
_atom_site_fract_z
_atom_site_occupancy
Al1 0.0000 0.0349 0.2500 1
Al2 0.3340 0.2501 0.9869 1
P1 0.1668 0.2550 0.5132 1
P2 0.5000 0.4672 0.2500 1
O1 0.0723 0.2334 0.3862 1
O2 0.1112 0.1657 0.6636 1
O3 0.2058 0.4479 0.0278 1
O4 0.2803 0.0834 0.4762 1
O5 0.4003 0.3507 0.8169 1
O6 0.4442 0.2836 0.1284 1

2.
# PPd4 PBE-GGA optimized geometry
# ΔE_f: -0.386 eV per atom
# Uncorrected energy: -5.6122 eV per atom
data_PPd4
_cell_length_a 5.2061
_cell_length_b 7.6567
_cell_length_c 5.7501
_cell_angle_alpha 90.00
_cell_angle_beta 90.30
_cell_angle_gamma 90.00
_space_group_name_H-M_alt 'P 1 m 1'
_space_group_IT_number 6
loop_
_space_group_symop_operation_xyz
'x,y,z'
'x,-y,z'
loop_
_atom_site_label
_atom_site_fract_x
_atom_site_fract_y
_atom_site_fract_z
_atom_site_occupancy
P1 0.0000 0.0000 0.0000 1
P2 0.0913 0.5000 0.2342 1
P3 0.5897 0.0000 0.5052 1
Pd1 0.1727 0.0000 0.6323 1
Pd2 0.2169 0.3139 0.9323 1
Pd3 0.3766 0.3149 0.4402 1
Pd4 0.4179 0.0000 0.1317 1
Pd5 0.6752 0.5000 0.0814 1
Pd6 0.7158 0.1933 0.7973 1
Pd7 0.8733 0.1903 0.2949 1
Pd8 0.9002 0.5000 0.5949 1

3.
# Mg6ZnB PBE-GGA optimized geometry
# Energy above the lowest structure with this stoichiometry: 37 meV per atom
# ΔE_f: 0.225 eV per atom
# Magnetization: 0.000 μB per atom
# Uncorrected energy: -1.9680 eV per atom
data_Mg6ZnB
_cell_length_a 4.1461
_cell_length_b 8.3861
_cell_length_c 8.9343
_cell_angle_alpha 90.00
_cell_angle_beta 90.00
_cell_angle_gamma 90.00
_space_group_name_H-M_alt 'A m m 2'
_space_group_IT_number 38
loop_
_space_group_symop_operation_xyz
'x,y,z'
'-x,-y,z'
'-x,y,z'
'x,-y,z'
'x,y+1/2,z+1/2'
'-x,-y+1/2,z+1/2'
'-x,y+1/2,z+1/2'
'x,-y+1/2,z+1/2'
loop_
_atom_site_label
_atom_site_fract_x
_atom_site_fract_y
_atom_site_fract_z
_atom_site_occupancy
Mg1 0.0000 0.0000 0.0000 1
Mg2 0.0000 0.0000 0.3977 1
Mg3 0.0000 0.1757 0.6853 1
Mg4 0.5000 0.2470 0.9434 1
Zn1 0.5000 0.0000 0.1939 1
B1 0.5000 0.0000 0.5671 1

4.
# LiNbF5 PBE-GGA optimized geometry
# ΔE_f: -3.201 eV per atom
# Magnetization: 0.143 μB per atom
# Uncorrected energy: -5.9539 eV per atom
data_LiNbF5
_cell_length_a 9.8875
_cell_length_b 15.4101
_cell_length_c 5.2802
_cell_angle_alpha 90.00
_cell_angle_beta 100.40
_cell_angle_gamma 90.00
_space_group_name_H-M_alt 'C 1 2/m 1'
_space_group_IT_number 12
loop_
_space_group_symop_operation_xyz
'x,y,z'
'-x,-y,-z'
'-x,y,-z'
'x,-y,z'
'x+1/2,y+1/2,z'
'-x+1/2,-y+1/2,-z'
'-x+1/2,y+1/2,-z'
'x+1/2,-y+1/2,z'
loop_
_atom_site_label
_atom_site_fract_x
_atom_site_fract_y
_atom_site_fract_z
_atom_site_occupancy
Li1 0.1702 0.1881 0.0713 1
Nb1 0.0000 0.3077 0.5000 1
Nb2 0.2480 0.0000 0.7467 1
F1 0.1085 0.2148 0.3690 1
F2 0.1192 0.4026 0.3760 1
F3 0.1285 0.5000 0.9280 1
F4 0.1340 0.0930 0.8599 1
F5 0.1349 0.2935 0.8470 1
F6 0.1545 0.0000 0.3971 1

5.
# Er4NiB13 PBE-GGA optimized geometry
# ΔE_f: -0.501 eV per atom
# Magnetization: 0.000 μB per atom
# Uncorrected energy: -6.6612 eV per atom
data_Er4NiB13
_cell_length_a 7.2822
_cell_length_b 7.2822
_cell_length_c 6.8447
_cell_angle_alpha 90.00
_cell_angle_beta 90.00
_cell_angle_gamma 90.00
_space_group_name_H-M_alt 'P 4/m n c'
_space_group_IT_number 128
_space_group_name_Hall '-P 4 2n'
loop_
_atom_site_label
_atom_site_fract_x
_atom_site_fract_y
_atom_site_fract_z
_atom_site_occupancy
Er1 0.1800 0.3152 0.0000 1
Ni1 0.0000 0.0000 0.5000 1
B1 0.0000 0.0000 0.0000 1
B2 0.0398 0.8293 0.2432 1
B3 0.0920 0.5920 0.2500 1

6.
# NdSb12Os4 PBE-GGA optimized geometry
# ΔE_f: -0.161 eV per atom
# Uncorrected energy: -5.9978 eV per atom
data_NdSb12Os4
_cell_length_a 9.4313
_cell_length_b 9.4313
_cell_length_c 9.4313
_cell_angle_alpha 90.00
_cell_angle_beta 90.00
_cell_angle_gamma 90.00
_space_group_name_H-M_alt 'I m -3'
_space_group_IT_number 204
_space_group_name_Hall '-I 2 2 3'
loop_
_atom_site_label
_atom_site_fract_x
_atom_site_fract_y
_atom_site_fract_z
_atom_site_occupancy
Nd1 0.0000 0.0000 0.0000 1
Sb1 0.0000 0.1566 0.3390 1
Os1 0.2500 0.2500 0.2500 1